Record 1
A plane-wave DFT calculation with PBE was carried out for an optimized crystal structure of BaNa2Al4Si4O16.

```
BaNa2Al4Si4O16
1.0
9.8241 -4.3274 0.0000
9.8241 4.3274 0.0000
-5.1524 0.0000 8.6580
Ba Na Al Si O
2 4 8 8 32
Cartesian
7.2479 2.1852 4.3290 Ba
9.8241 -2.1852 0.0000 Ba
4.5069 1.8468 0.6280 Na
1.9307 -1.8468 4.9570 Na
9.9478 1.8406 8.0098 Na
12.5240 -1.8406 3.6808 Na
6.9437 2.8079 7.8148 Al
2.1267 0.2625 7.7740 Al
4.7029 -0.2625 3.4451 Al
10.1792 1.5536 2.4130 Al
7.6030 -1.5536 6.7420 Al
15.0662 0.2698 2.4985 Al
12.4900 -0.2698 6.8274 Al
9.5199 -2.8079 3.4858 Al
7.4868 2.8422 0.8935 Si
-0.5960 0.1784 6.1987 Si
1.9802 -0.1784 1.8697 Si
4.3396 1.4819 6.1873 Si
6.9158 -1.4819 1.8583 Si
12.3913 0.1692 0.8450 Si
9.8151 -0.1692 5.1740 Si
4.9106 -2.8422 5.2225 Si
1.0361 1.0577 2.4137 O
3.1277 2.5743 6.0386 O
-0.8105 0.2467 4.5712 O
1.7657 -0.2467 0.2422 O
1.6311 1.7094 8.6030 O
3.5334 0.2662 2.2003 O
8.6664 2.2134 1.8289 O
5.7146 2.1569 6.7501 O
-1.5401 -1.0577 6.7427 O
4.6852 1.0403 4.6344 O
0.9572 -0.2662 6.5293 O
11.3922 2.8062 2.6374 O
3.7806 0.2472 7.1166 O
6.3568 -0.2472 2.7876 O
12.8584 1.5488 0.1233 O
9.8439 1.1158 4.1039 O
7.2614 -1.0403 0.3054 O
4.2073 -1.7094 4.2740 O
10.8587 0.2463 1.4324 O
8.2825 -0.2463 5.7614 O
5.7040 -2.5743 1.7096 O
10.8395 0.2592 6.3907 O
8.2908 -2.1569 2.4212 O
6.0902 -2.2134 6.1579 O
7.2677 -1.1158 8.4328 O
13.5425 1.0360 6.2704 O
13.4157 -0.2592 2.0618 O
10.2821 -1.5488 4.4523 O
15.2732 0.2463 4.2659 O
12.6970 -0.2463 8.5949 O
8.8160 -2.8062 6.9663 O
16.1188 -1.0360 1.9414 O
```

Values from the calculation:
SG	No. 9
excess energy over the best structure of this formula in the dataset	3	meV per atom
DFT formation energy	-89.0	eV per formula unit



Record 2
A plane-wave DFT calculation with PBE was carried out for an optimized crystal structure of Ba6Nd2Al4O15.

```
Ba6Nd2Al4O15
1.0
8.0367 0.0000 0.0000
0.0000 6.0429 0.0000
-0.4364 0.0000 18.7521
Ba Nd Al O
12 4 8 30
Cartesian
-0.1091 1.0129 4.6880 Ba
-0.3273 5.0300 14.0641 Ba
-0.3767 1.5547 17.1860 Ba
-0.1585 4.4882 7.8100 Ba
3.3512 1.4587 17.0414 Ba
3.5694 4.5842 7.6653 Ba
3.9093 1.3649 4.6880 Ba
3.6911 4.6780 14.0641 Ba
4.0309 1.4587 11.0868 Ba
4.2491 4.5842 1.7108 Ba
7.7588 1.5547 10.9422 Ba
7.9770 4.4882 1.5661 Ba
1.9873 1.4898 1.6902 Nd
1.7691 4.5531 11.0663 Nd
5.8313 1.4898 7.6859 Nd
5.6131 4.5531 17.0619 Nd
1.8411 1.5293 8.2812 Al
1.6229 4.5135 17.6573 Al
1.9355 1.6625 13.7770 Al
2.1537 4.3803 4.4009 Al
5.4466 1.6625 14.3512 Al
5.6648 4.3803 4.9752 Al
5.9774 1.5293 1.0948 Al
5.7592 4.5135 10.4709 Al
0.1819 1.5434 7.5938 O
-0.0363 4.4994 16.9698 O
1.2231 1.1234 15.2886 O
1.4413 4.9194 5.9125 O
1.7632 2.8168 3.6587 O
1.5450 3.2261 13.0348 O
1.7204 0.3724 12.5346 O
1.9386 5.6704 3.1585 O
1.8893 2.9763 9.3618 O
1.6711 3.0666 18.7379 O
1.9097 0.0679 9.3304 O
1.6915 5.9750 18.7065 O
3.3614 1.5675 7.3275 O
3.1432 4.4754 16.7035 O
3.6911 1.7349 14.0641 O
3.9093 4.3080 4.6880 O
4.4571 1.5675 2.0486 O
4.2389 4.4754 11.4247 O
5.9088 0.0679 0.0456 O
5.6907 5.9750 9.4217 O
5.9292 2.9763 0.0143 O
5.7110 3.0666 9.3903 O
5.6617 0.3724 15.5936 O
5.8799 5.6704 6.2176 O
6.0553 2.8168 5.7174 O
5.8371 3.2261 15.0934 O
6.1590 1.1234 12.8396 O
6.3772 4.9194 3.4636 O
7.6366 1.5434 1.7823 O
7.4184 4.4994 11.1584 O
```

Values from the calculation:
SG	No. 13
excess energy over the best structure of this formula in the dataset	0	meV per atom
DFT formation energy	-90.7	eV per formula unit



Record 3
A plane-wave DFT calculation with PBE was carried out for an optimized crystal structure of Ba6Nd2Al4O15.

```
Ba6Nd2Al4O15
1.0
5.8996 -10.1392 0.0000
5.8996 10.1392 0.0000
-0.1017 0.0000 7.1137
Ba Nd Al O
12 4 8 30
Cartesian
5.8487 10.1236 3.5568 Ba
3.1913 4.8538 6.0310 Ba
3.0071 1.7720 1.2812 Ba
5.8228 6.6010 1.2817 Ba
5.8367 3.3837 3.5203 Ba
2.9563 -1.7720 4.8380 Ba
3.2422 -4.8538 2.4742 Ba
8.7259 1.7438 1.3094 Ba
5.7858 -3.3837 7.0771 Ba
5.7720 -6.6010 4.8385 Ba
8.6750 -1.7438 4.8662 Ba
5.8996 -10.1236 0.0000 Ba
8.3549 4.8522 6.0530 Nd
5.7905 0.3873 6.0756 Nd
5.8413 -0.3873 2.5187 Nd
8.4057 -4.8522 2.4961 Nd
5.7756 6.4580 4.8534 Al
3.1670 1.8252 4.7962 Al
5.8427 3.3047 0.2670 Al
3.2178 -1.8252 1.2393 Al
8.4674 1.7743 4.9144 Al
5.7918 -3.3047 3.8239 Al
8.5183 -1.7743 1.3576 Al
5.8265 -6.4580 1.2965 Al
4.3877 6.1558 3.7586 O
2.7391 3.2093 3.7521 O
5.6654 8.0754 5.5594 O
1.7418 1.0431 5.4922 O
4.4780 4.1284 1.2865 O
1.7926 -1.0431 1.9354 O
5.8515 5.0712 6.0499 O
4.3824 2.4219 6.0584 O
7.3192 6.1629 4.0641 O
4.2319 0.6996 3.9123 O
2.7900 -3.2093 0.1953 O
4.2828 -0.6996 0.3555 O
7.2581 4.1228 1.1150 O
5.8593 1.6797 1.2476 O
4.4333 -2.4219 2.5015 O
7.2581 2.4153 6.1190 O
5.8084 -1.6797 4.8045 O
4.4271 -4.1284 4.8433 O
7.4161 0.6929 3.9561 O
8.9214 3.2777 4.1208 O
7.4670 -0.6929 0.3992 O
4.4386 -6.1558 0.2018 O
7.3090 -2.4153 2.5622 O
5.9024 -5.0712 2.4931 O
9.8688 0.8939 5.5196 O
7.2073 -4.1228 4.6719 O
5.7162 -8.0754 2.0025 O
9.9197 -0.8939 1.9627 O
8.9723 -3.2777 0.5640 O
7.3701 -6.1629 0.5073 O
```

Values from the calculation:
SG	No. 9
excess energy over the best structure of this formula in the dataset	28	meV per atom
DFT formation energy	-90.0	eV per formula unit



Record 4
A plane-wave DFT calculation with PBE was carried out for an optimized crystal structure of BaAl2O8.

```
BaAl2O8
1.0
5.6919 0.0000 0.0000
-1.8173 6.6840 0.0000
-0.8853 -2.0348 9.2849
Ba Al O
2 4 16
Cartesian
-0.5283 1.6918 1.4719 Ba
3.5175 2.9574 7.8131 Ba
-0.2046 4.5077 5.0104 Al
0.3592 5.3765 2.1203 Al
2.6300 -0.7273 7.1647 Al
3.1939 0.1415 4.2745 Al
-0.8468 0.9582 4.0991 O
-1.3114 4.3814 1.6210 O
-0.5247 6.3689 0.8789 O
-0.7539 5.0824 6.7372 O
0.0992 3.0593 6.1439 O
0.3092 3.9277 3.2890 O
0.6022 4.4383 0.5345 O
1.4920 -0.6884 3.8191 O
1.4972 5.3376 5.4659 O
2.3870 0.2109 8.7505 O
2.6800 0.7215 5.9960 O
2.8901 1.5899 3.1410 O
3.7432 -0.4332 2.5478 O
3.5140 -1.7197 8.4060 O
4.3007 0.2679 7.6639 O
3.8361 3.6910 5.1859 O
```

Values from the calculation:
SG	No. 2
DFT formation energy	-17.9	eV per formula unit



Record 5
A plane-wave DFT calculation with PBE was carried out for an optimized crystal structure of BaAl4O7.

```
BaAl4O7
1.0
5.6313 0.0000 0.0000
0.0000 12.9480 0.0000
0.0000 0.0000 9.2815
Ba Al O
4 16 28
Cartesian
0.7069 3.2370 0.4555 Ba
2.1087 9.7110 5.0963 Ba
3.5225 3.2370 4.1852 Ba
4.9244 9.7110 8.8260 Ba
0.7285 1.6438 6.3483 Al
0.7285 4.8302 6.3483 Al
1.0050 0.9630 3.1198 Al
1.0050 5.5110 3.1198 Al
1.8106 7.4370 7.7606 Al
1.8106 11.9850 7.7606 Al
2.0872 8.1178 1.7075 Al
2.0872 11.3042 1.7075 Al
3.5441 1.6438 7.5740 Al
3.5441 4.8302 7.5740 Al
3.8207 0.9630 1.5209 Al
3.8207 5.5110 1.5209 Al
4.6262 7.4370 6.1617 Al
4.6262 11.9850 6.1617 Al
4.9028 8.1178 2.9332 Al
4.9028 11.3042 2.9332 Al
0.3444 3.2370 6.9745 O
0.5257 8.0757 6.7393 O
0.5257 11.3463 6.7393 O
0.9178 7.3065 2.8652 O
0.9178 12.1155 2.8652 O
1.3571 1.4965 4.7401 O
1.3571 4.9775 4.7401 O
1.4586 7.9705 0.0993 O
1.4586 11.4515 0.0993 O
1.8979 0.8325 7.5059 O
1.8979 5.6415 7.5059 O
2.2899 1.6017 2.0985 O
2.2899 4.8723 2.0985 O
2.4712 9.7110 2.3338 O
3.1601 3.2370 6.9477 O
3.3413 8.0757 7.1830 O
3.3413 11.3463 7.1830 O
3.7334 7.3065 1.7756 O
3.7334 12.1155 1.7756 O
4.1727 1.4965 9.1822 O
4.1727 4.9775 9.1822 O
4.2742 7.9705 4.5414 O
4.2742 11.4515 4.5414 O
4.7135 0.8325 6.4163 O
4.7135 5.6415 6.4163 O
5.1056 1.6017 2.5422 O
5.1056 4.8723 2.5422 O
5.2869 9.7110 2.3070 O
```

Values from the calculation:
SG	No. 62
excess energy over the best structure of this formula in the dataset	0	meV per atom
DFT formation energy	-41.4	eV per formula unit



Record 6
A plane-wave DFT calculation with PBE was carried out for an optimized crystal structure of BaAl4O7.

```
BaAl4O7
1.0
13.0474 0.0000 0.0000
0.0000 4.9609 0.0000
0.0000 0.0000 10.3610
Ba Al O
4 16 28
Cartesian
0.0000 0.0842 0.0000 Ba
0.0000 4.8767 5.1805 Ba
6.5237 2.3483 6.9981 Ba
6.5237 2.6126 1.8176 Ba
1.5429 2.2486 2.4854 Al
1.5429 2.7123 7.6659 Al
3.2459 2.2442 10.2491 Al
3.2459 2.7167 5.0686 Al
3.2795 0.2551 7.0042 Al
3.2795 4.7058 1.8237 Al
4.9787 0.2024 4.4139 Al
4.9787 4.7585 9.5944 Al
8.0687 0.2024 4.4139 Al
8.0687 4.7585 9.5944 Al
9.7679 0.2551 7.0042 Al
9.7679 4.7058 1.8237 Al
9.8014 2.2442 10.2491 Al
9.8014 2.7167 5.0686 Al
11.5044 2.2486 2.4854 Al
11.5044 2.7123 7.6659 Al
0.0000 2.2896 6.9602 O
0.0000 2.6713 1.7797 O
1.7545 2.2422 9.3370 O
1.7545 2.7187 4.1565 O
1.7798 0.5089 2.2878 O
1.7798 4.4520 7.4683 O
2.8417 1.9601 6.6513 O
2.8417 3.0008 1.4708 O
3.6846 0.5383 0.2542 O
3.6846 4.4226 5.4347 O
4.7281 1.9448 4.5646 O
4.7281 3.0161 9.7451 O
4.7633 0.3021 7.9285 O
4.7633 4.6588 2.7480 O
6.5237 0.2109 10.2933 O
6.5237 4.7500 5.1128 O
8.2841 0.3021 7.9285 O
8.2841 4.6588 2.7480 O
8.3192 1.9448 4.5646 O
8.3192 3.0161 9.7451 O
9.3628 0.5383 0.2542 O
9.3628 4.4226 5.4347 O
10.2057 1.9601 6.6513 O
10.2057 3.0008 1.4708 O
11.2676 0.5089 2.2878 O
11.2676 4.4520 7.4683 O
11.2929 2.2422 9.3370 O
11.2929 2.7187 4.1565 O
```

Values from the calculation:
SG	No. 26
excess energy over the best structure of this formula in the dataset	24	meV per atom
DFT formation energy	-41.1	eV per formula unit



Record order is preserved below.
Calculated volume: 736.1; 910.7; 851.0; 353.2; 676.7; 670.6 Å³ per cell